Model A:
A geometry-optimized MnB4O7 structure. Source: the Materials Project database, functional PBE+U.

Cell lengths 8.234, 8.810, 14.187 Å; angles 90.00, 90.00, 90.00 degrees
Atoms (fractional coordinates):
Mn  0.119  0.108  0.113
Mn  0.119  0.392  0.613
Mn  0.381  0.608  0.113
Mn  0.381  0.892  0.613
Mn  0.619  0.108  0.387
Mn  0.619  0.392  0.887
Mn  0.881  0.608  0.387
Mn  0.881  0.892  0.887
B  0.006  0.573  0.164
B  0.006  0.927  0.664
B  0.029  0.165  0.766
B  0.029  0.335  0.266
B  0.064  0.709  0.567
B  0.064  0.791  0.067
B  0.187  0.140  0.462
B  0.187  0.360  0.962
B  0.313  0.640  0.462
B  0.313  0.860  0.962
B  0.436  0.209  0.567
B  0.436  0.291  0.067
B  0.471  0.665  0.766
B  0.471  0.835  0.266
B  0.494  0.073  0.164
B  0.494  0.427  0.664
B  0.506  0.573  0.336
B  0.506  0.927  0.836
B  0.529  0.165  0.734
B  0.529  0.335  0.234
B  0.564  0.709  0.933
B  0.564  0.791  0.433
B  0.687  0.140  0.038
B  0.687  0.360  0.538
B  0.813  0.640  0.038
B  0.813  0.860  0.538
B  0.936  0.209  0.933
B  0.936  0.291  0.433
B  0.971  0.665  0.734
B  0.971  0.835  0.234
B  0.994  0.073  0.336
B  0.994  0.427  0.836
O  0.017  0.607  0.647
O  0.017  0.893  0.147
O  0.033  0.179  0.252
O  0.033  0.321  0.752
O  0.072  0.072  0.694
O  0.072  0.428  0.194
O  0.085  0.243  0.991
O  0.085  0.257  0.491
O  0.130  0.651  0.105
O  0.130  0.849  0.605
O  0.146  0.051  0.388
O  0.146  0.449  0.888
O  0.168  0.615  0.508
O  0.168  0.885  0.008
O  0.332  0.115  0.508
O  0.332  0.385  0.008
O  0.354  0.551  0.388
O  0.354  0.949  0.888
O  0.370  0.151  0.105
O  0.370  0.349  0.605
O  0.415  0.743  0.991
O  0.415  0.757  0.491
O  0.428  0.572  0.694
O  0.428  0.928  0.194
O  0.467  0.679  0.252
O  0.467  0.821  0.752
O  0.483  0.107  0.647
O  0.483  0.393  0.147
O  0.517  0.607  0.853
O  0.517  0.893  0.353
O  0.533  0.179  0.248
O  0.533  0.321  0.748
O  0.572  0.072  0.806
O  0.572  0.428  0.306
O  0.585  0.243  0.509
O  0.585  0.257  0.009
O  0.630  0.651  0.395
O  0.630  0.849  0.895
O  0.646  0.051  0.112
O  0.646  0.449  0.612
O  0.668  0.615  0.992
O  0.668  0.885  0.492
O  0.832  0.115  0.992
O  0.832  0.385  0.492
O  0.854  0.551  0.112
O  0.854  0.949  0.612
O  0.870  0.151  0.395
O  0.870  0.349  0.895
O  0.915  0.743  0.509
O  0.915  0.757  0.009
O  0.928  0.572  0.806
O  0.928  0.928  0.306
O  0.967  0.679  0.248
O  0.967  0.821  0.748
O  0.983  0.107  0.853
O  0.983  0.393  0.353

- Volume: 1029.2 Å³/cell



Model B:
A geometry-optimized MnB4O7 structure. Source: the Materials Project database, functional PBE+U.

Cell lengths 6.435, 8.302, 8.302 Å; angles 78.36, 110.67, 110.67 degrees
Atoms (fractional coordinates):
Mn  0.778  0.514  0.264
Mn  0.222  0.486  0.736
Mn  0.778  0.014  0.764
Mn  0.222  0.986  0.236
B  0.324  0.667  0.417
B  0.324  0.167  0.917
B  0.915  0.213  0.463
B  0.915  0.713  0.963
B  0.085  0.787  0.537
B  0.085  0.287  0.037
B  0.676  0.333  0.583
B  0.676  0.833  0.083
B  0.707  0.147  0.147
B  0.707  0.647  0.647
B  0.293  0.353  0.353
B  0.293  0.853  0.853
B  0.293  0.103  0.603
B  0.293  0.603  0.103
B  0.707  0.897  0.397
B  0.707  0.397  0.897
O  0.901  0.325  0.575
O  0.901  0.825  0.075
O  0.099  0.675  0.425
O  0.099  0.175  0.925
O  0.243  0.031  0.781
O  0.243  0.531  0.281
O  0.189  0.254  0.504
O  0.189  0.754  0.004
O  0.811  0.746  0.496
O  0.811  0.246  0.996
O  0.757  0.969  0.219
O  0.757  0.469  0.719
O  0.190  0.966  0.490
O  0.190  0.466  0.990
O  0.544  0.167  0.643
O  0.544  0.667  0.143
O  0.190  0.740  0.716
O  0.190  0.240  0.216
O  0.456  0.833  0.357
O  0.456  0.333  0.857
O  0.810  0.034  0.510
O  0.810  0.534  0.010
O  0.456  0.607  0.583
O  0.456  0.107  0.083
O  0.544  0.393  0.417
O  0.544  0.893  0.917
O  0.810  0.260  0.284
O  0.810  0.760  0.784

- Volume: 386.8 Å³/cell



Short version: model B is the least stable of them.



Model A:
A geometry-optimized Ba2CaYCo8O14 structure. Source: the Materials Project database, functional PBE+U.

Cell lengths 6.413, 6.413, 10.381 Å; angles 90.60, 90.60, 60.29 degrees
Atoms (fractional coordinates):
Ba  0.000  0.000  0.000
Ba  0.682  0.682  0.502
Ca  0.675  0.675  0.894
Y  0.010  0.010  0.389
Co  0.006  0.509  0.211
Co  0.169  0.680  0.708
Co  0.173  0.173  0.710
Co  0.338  0.338  0.969
Co  0.346  0.346  0.467
Co  0.509  0.006  0.211
Co  0.511  0.511  0.208
Co  0.680  0.169  0.708
O  0.025  0.515  0.022
O  0.170  0.665  0.518
O  0.182  0.182  0.528
O  0.319  0.860  0.772
O  0.338  0.338  0.775
O  0.344  0.344  0.281
O  0.352  0.838  0.280
O  0.502  0.502  0.021
O  0.515  0.025  0.022
O  0.665  0.170  0.518
O  0.837  0.837  0.278
O  0.838  0.352  0.280
O  0.848  0.848  0.773
O  0.860  0.319  0.772

- Volume: 370.8 Å³/cell



Model B:
A geometry-optimized Ba2CaYCo8O14 structure. Source: the Materials Project database, functional PBE+U.

Cell lengths 6.788, 6.788, 9.806 Å; angles 90.00, 90.00, 120.00 degrees
Atoms (fractional coordinates):
Ba  0.000  0.000  0.000
Ba  0.333  0.667  0.506
Ca  0.333  0.667  0.864
Y  0.000  0.000  0.385
Co  0.001  0.500  0.116
Co  0.290  0.145  0.678
Co  0.500  0.500  0.116
Co  0.500  0.999  0.116
Co  0.667  0.333  0.286
Co  0.667  0.333  0.639
Co  0.855  0.145  0.678
Co  0.855  0.710  0.678
O  0.127  0.254  0.575
O  0.127  0.873  0.575
O  0.202  0.405  0.047
O  0.202  0.798  0.047
O  0.338  0.169  0.264
O  0.519  0.038  0.737
O  0.519  0.481  0.737
O  0.595  0.798  0.047
O  0.667  0.333  0.084
O  0.667  0.333  0.466
O  0.746  0.873  0.575
O  0.831  0.169  0.264
O  0.831  0.662  0.264
O  0.962  0.481  0.737

- Volume: 391.3 Å³/cell



Short version: model B is the least stable of them.



Model A:
A geometry-optimized BaCaCrF7 structure. Source: the Materials Project database, functional PBE+U.

Cell lengths 5.782, 10.481, 10.069 Å; angles 90.00, 92.35, 90.00 degrees
Atoms (fractional coordinates):
Ba  0.240  0.166  0.496
Ba  0.240  0.334  0.996
Ba  0.760  0.666  0.004
Ba  0.760  0.834  0.504
Ca  0.200  0.596  0.318
Ca  0.200  0.904  0.818
Ca  0.800  0.096  0.182
Ca  0.800  0.404  0.682
Cr  0.311  0.620  0.689
Cr  0.311  0.880  0.189
Cr  0.689  0.120  0.811
Cr  0.689  0.380  0.311
F  0.031  0.702  0.757
F  0.031  0.798  0.257
F  0.105  0.542  0.115
F  0.105  0.958  0.615
F  0.160  0.038  0.131
F  0.160  0.462  0.631
F  0.225  0.700  0.518
F  0.225  0.800  0.018
F  0.401  0.073  0.888
F  0.401  0.427  0.388
F  0.406  0.541  0.858
F  0.406  0.959  0.358
F  0.486  0.728  0.249
F  0.486  0.772  0.749
F  0.514  0.228  0.251
F  0.514  0.272  0.751
F  0.594  0.041  0.642
F  0.594  0.459  0.142
F  0.599  0.573  0.612
F  0.599  0.927  0.112
F  0.775  0.200  0.982
F  0.775  0.300  0.482
F  0.840  0.538  0.369
F  0.840  0.962  0.869
F  0.895  0.042  0.385
F  0.895  0.458  0.885
F  0.969  0.202  0.743
F  0.969  0.298  0.243

- Volume: 609.7 Å³/cell



Model B:
A geometry-optimized BaCaCrF7 structure. Source: the Materials Project database, functional PBE+U.

Cell lengths 5.506, 5.548, 19.981 Å; angles 90.00, 104.01, 90.00 degrees
Atoms (fractional coordinates):
Ba  0.185  0.247  0.431
Ba  0.185  0.753  0.931
Ba  0.815  0.247  0.069
Ba  0.815  0.753  0.569
Ca  0.000  0.328  0.750
Ca  0.000  0.672  0.250
Ca  0.500  0.208  0.250
Ca  0.500  0.792  0.750
Cr  0.318  0.224  0.620
Cr  0.318  0.776  0.120
Cr  0.682  0.224  0.880
Cr  0.682  0.776  0.380
F  0.002  0.286  0.945
F  0.002  0.714  0.445
F  0.148  0.024  0.677
F  0.148  0.976  0.177
F  0.236  0.370  0.309
F  0.236  0.630  0.809
F  0.249  0.496  0.675
F  0.249  0.504  0.175
F  0.348  0.054  0.063
F  0.348  0.946  0.563
F  0.373  0.131  0.814
F  0.373  0.869  0.314
F  0.471  0.409  0.561
F  0.471  0.591  0.061
F  0.529  0.409  0.939
F  0.529  0.591  0.439
F  0.627  0.131  0.686
F  0.627  0.869  0.186
F  0.652  0.054  0.437
F  0.652  0.946  0.937
F  0.751  0.496  0.825
F  0.751  0.504  0.325
F  0.764  0.370  0.191
F  0.764  0.630  0.691
F  0.852  0.024  0.823
F  0.852  0.976  0.323
F  0.998  0.286  0.555
F  0.998  0.714  0.055

- Volume: 592.3 Å³/cell



Short version: model A is the least stable of them.



Model A:
A geometry-optimized Ba2CaY2Fe4O10 structure. Source: the Materials Project database, functional PBE+U.

Cell lengths 8.063, 3.778, 9.590 Å; angles 90.00, 90.87, 90.00 degrees
Atoms (fractional coordinates):
Ba  0.000  0.000  0.000
Ba  0.485  0.000  0.859
Ca  0.937  0.000  0.671
Y  0.460  0.000  0.419
Y  0.993  0.000  0.354
Fe  0.226  0.500  0.582
Fe  0.307  0.500  0.161
Fe  0.685  0.500  0.156
Fe  0.714  0.500  0.574
O  0.212  0.000  0.545
O  0.238  0.000  0.237
O  0.261  0.500  0.958
O  0.469  0.500  0.618
O  0.503  0.500  0.304
O  0.675  0.000  0.081
O  0.733  0.000  0.489
O  0.828  0.500  0.779
O  0.937  0.500  0.206
O  0.986  0.500  0.508

- Volume: 292.1 Å³/cell



Model B:
A geometry-optimized Ba2CaY2Fe4O10 structure. Source: the Materials Project database, functional PBE+U.

Cell lengths 3.844, 8.150, 9.903 Å; angles 90.00, 90.00, 90.00 degrees
Atoms (fractional coordinates):
Ba  0.000  0.236  0.000
Ba  0.000  0.764  0.000
Ca  0.000  0.500  0.282
Y  0.000  0.224  0.606
Y  0.000  0.776  0.606
Fe  0.500  0.000  0.419
Fe  0.500  0.000  0.801
Fe  0.500  0.500  0.504
Fe  0.500  0.500  0.798
O  0.000  0.000  0.467
O  0.000  0.000  0.752
O  0.000  0.500  0.531
O  0.000  0.500  0.857
O  0.500  0.000  0.010
O  0.500  0.255  0.455
O  0.500  0.260  0.746
O  0.500  0.500  0.162
O  0.500  0.740  0.746
O  0.500  0.745  0.455

- Volume: 310.3 Å³/cell



Short version: model B is the least stable of them.



Model A:
A geometry-optimized BaSrCaWO6 structure. Source: the Materials Project database, functional PBE+U.

Cell lengths 8.509, 8.540, 8.578 Å; angles 90.00, 90.00, 90.00 degrees
Atoms (fractional coordinates):
Ba  0.000  0.000  0.000
Ba  0.000  0.000  0.500
Ba  0.000  0.500  0.000
Ba  0.500  0.500  0.500
Sr  0.255  0.255  0.250
Sr  0.255  0.745  0.750
Sr  0.745  0.255  0.750
Sr  0.745  0.745  0.250
Ca  0.000  0.500  0.500
Ca  0.500  0.000  0.000
Ca  0.500  0.000  0.500
Ca  0.500  0.500  0.000
W  0.258  0.247  0.749
W  0.258  0.753  0.251
W  0.742  0.247  0.251
W  0.742  0.753  0.749
O  0.033  0.273  0.794
O  0.033  0.727  0.206
O  0.204  0.312  0.533
O  0.204  0.688  0.467
O  0.220  0.026  0.714
O  0.220  0.974  0.286
O  0.306  0.198  0.969
O  0.306  0.802  0.031
O  0.308  0.466  0.802
O  0.308  0.534  0.198
O  0.472  0.209  0.680
O  0.472  0.791  0.320
O  0.528  0.209  0.320
O  0.528  0.791  0.680
O  0.692  0.466  0.198
O  0.692  0.534  0.802
O  0.694  0.198  0.031
O  0.694  0.802  0.969
O  0.780  0.026  0.286
O  0.780  0.974  0.714
O  0.796  0.312  0.467
O  0.796  0.688  0.533
O  0.967  0.273  0.206
O  0.967  0.727  0.794

- Volume: 623.3 Å³/cell



Model B:
A geometry-optimized BaSrCaWO6 structure. Source: the Materials Project database, functional PBE+U.

Cell lengths 5.976, 5.976, 5.976 Å; angles 60.00, 60.00, 60.00 degrees
Atoms (fractional coordinates):
Ba  0.000  0.000  0.000
Sr  0.500  0.500  0.500
Ca  0.250  0.250  0.250
W  0.750  0.750  0.750
O  0.519  0.519  0.981
O  0.519  0.981  0.519
O  0.519  0.981  0.981
O  0.981  0.519  0.519
O  0.981  0.519  0.981
O  0.981  0.981  0.519

- Volume: 150.9 Å³/cell



Short version: model A is the least stable of them.